# Mg5Si9 (PBE, relaxed)
# V, A^3/atom: 17.526
# Electronic total energy, eV per atom: -3.870
# Excess energy over the best structure of this formula in the dataset, eV/atom: 0.084
# Size of the total moment, μB per cell: 0.00
# E (MP2020), eV per formula unit: -53.5
# Formation enthalpy at 0 K, eV per atom: 0.235
data_Mg5Si9
_cell_length_a 5.595
_cell_length_b 7.348
_cell_length_c 13.242
_cell_angle_alpha 76.52
_cell_angle_beta 78.26
_cell_angle_gamma 69.27
_symmetry_space_group_name_H-M 'P 1'
_symmetry_Int_Tables_number 1
_symmetry_space_group_name_Hall 'P 1'
loop_
_atom_site_label
_atom_site_type_symbol
_atom_site_fract_x
_atom_site_fract_y
_atom_site_fract_z
Mg1 Mg 0.000 0.000 0.000
Mg2 Mg 0.011 0.919 0.457
Mg3 Mg 0.176 0.814 0.224
Mg4 Mg 0.199 0.280 0.300
Mg5 Mg 0.233 0.952 0.642
Mg6 Mg 0.290 0.506 0.726
Mg7 Mg 0.426 0.705 0.864
Mg8 Mg 0.584 0.843 0.018
Mg9 Mg 0.853 0.271 0.775
Mg10 Mg 0.962 0.453 0.942
Si1 Si 0.096 0.471 0.562
Si2 Si 0.152 0.559 0.094
Si3 Si 0.187 0.190 0.113
Si4 Si 0.345 0.139 0.849
Si5 Si 0.445 0.495 0.368
Si6 Si 0.477 0.171 0.484
Si7 Si 0.481 0.616 0.521
Si8 Si 0.523 0.296 0.963
Si9 Si 0.547 0.909 0.385
Si10 Si 0.601 0.456 0.116
Si11 Si 0.605 0.997 0.187
Si12 Si 0.641 0.032 0.692
Si13 Si 0.745 0.680 0.672
Si14 Si 0.749 0.620 0.227
Si15 Si 0.775 0.203 0.261
Si16 Si 0.809 0.262 0.548
Si17 Si 0.927 0.812 0.818
Si18 Si 0.937 0.607 0.394